(1)
Density functional theory data (r2SCAN) for crystalline Ca2ZrSi4O12 at its relaxed geometry.

Computed properties:
DFT total energy ... -412.10 eV for the cell shown
Symmetry ... P2_1/m, No. 11

POSCAR file:
```
Ca2ZrSi4O12
1.0
-1.2671 -6.6799 -11.9023
4.1164 -3.1176 1.3114
-2.5494 -5.9627 3.6179
Ca Zr Si O
4 2 8 24
Direct
0.0000 0.0000 0.5000
0.2500 0.1654 0.1857
0.7500 0.8346 0.8143
0.5000 0.0000 0.5000
0.5000 0.0000 0.0000
0.0000 0.0000 0.0000
0.6398 0.4323 0.6156
0.8623 0.4334 0.1814
0.8602 0.4323 0.6156
0.1377 0.5666 0.8186
0.1398 0.5677 0.3844
0.6377 0.4334 0.1814
0.3623 0.5666 0.8186
0.3602 0.5677 0.3844
0.0670 0.7926 0.8428
0.8672 0.7265 0.6209
0.8811 0.7334 0.0452
0.1246 0.5961 0.5948
0.9355 0.2139 0.7431
0.7500 0.3072 0.6887
0.8754 0.4039 0.4052
0.2500 0.6928 0.3113
0.3672 0.2735 0.3791
0.7500 0.3697 0.1353
0.2500 0.6303 0.8647
0.6246 0.4039 0.4052
0.1189 0.2666 0.9548
0.4330 0.7926 0.8428
0.0645 0.7861 0.2569
0.9330 0.2074 0.1572
0.5645 0.2139 0.7431
0.6189 0.7334 0.0452
0.6328 0.7265 0.6209
0.3754 0.5961 0.5948
0.1328 0.2735 0.3791
0.4355 0.7861 0.2569
0.3811 0.2666 0.9548
0.5670 0.2074 0.1572
```

(2)
Density functional theory data (r2SCAN) for crystalline Lu4Zr3O12 at its relaxed geometry.

Computed properties:
DFT total energy ... -734.42 eV for the cell shown
Symmetry ... P-1, No. 2

POSCAR file:
```
Lu4Zr3O12
1.0
-1.6262 4.7359 3.7678
-4.3314 -4.2383 1.7411
9.8659 -4.4182 6.4059
Lu Zr O
8 6 24
Direct
0.3915 0.8632 0.0963
0.3124 0.6078 0.8185
0.3019 0.6098 0.3190
0.8594 0.6887 0.4466
0.6876 0.3922 0.1815
0.1406 0.3113 0.5534
0.6085 0.1368 0.9037
0.6981 0.3902 0.6810
0.9933 0.9944 0.2486
0.3914 0.8564 0.5940
0.0067 0.0056 0.7514
0.8557 0.6805 0.9456
0.1443 0.3195 0.0544
0.6086 0.1436 0.4060
0.3219 0.9410 0.7871
0.0440 0.9023 0.0885
0.3188 0.9554 0.2960
0.0704 0.9177 0.5916
0.5854 0.8201 0.9625
0.9199 0.6882 0.7879
0.1752 0.5746 0.9641
0.5712 0.8279 0.4625
0.9219 0.6796 0.2789
0.4122 0.5706 0.1588
0.1836 0.5874 0.4670
0.5878 0.4294 0.8412
0.4273 0.5810 0.6588
0.8248 0.4254 0.0359
0.5727 0.4190 0.3412
0.0801 0.3118 0.2121
0.4146 0.1799 0.0375
0.8164 0.4126 0.5330
0.0781 0.3204 0.7211
0.4288 0.1721 0.5375
0.9560 0.0977 0.9115
0.6781 0.0590 0.2129
0.9296 0.0823 0.4084
0.6812 0.0446 0.7040
```

(3)
Density functional theory data (r2SCAN) for crystalline Be3Rh at its relaxed geometry.

Computed properties:
DFT total energy ... -38.97 eV for the cell shown
Symmetry ... I4/mmm, No. 139

POSCAR file:
```
Be3Rh
1.0
-1.6164 1.6164 3.6374
1.6164 -1.6164 3.6374
1.6164 1.6164 -3.6374
Be Rh
3 1
Direct
0.7500 0.2500 0.5000
0.2500 0.7500 0.5000
0.5000 0.5000 0.0000
0.0000 0.0000 0.0000
```

(4)
Density functional theory data (r2SCAN) for crystalline NiS2 at its relaxed geometry.

Computed properties:
DFT total energy ... -117.12 eV for the cell shown
Symmetry ... Pbca, No. 61

POSCAR file:
```
NiS2
1.0
-0.0001 5.6877 0.0001
0.0002 0.0000 5.6771
5.6983 0.0002 0.0003
Ni S
4 8
Direct
0.9953 0.9962 0.0023
0.4956 0.4958 0.0027
0.9958 0.4963 0.5025
0.4954 0.9961 0.5025
0.6004 0.1000 0.8963
0.8907 0.6002 0.1087
0.6008 0.6002 0.6088
0.8905 0.1004 0.3962
0.3904 0.8917 0.1087
0.1007 0.3921 0.8963
0.3908 0.3919 0.3965
0.1005 0.8922 0.6085
```

(5)
Density functional theory data (r2SCAN) for crystalline V3P2O8 at its relaxed geometry.

Computed properties:
DFT total energy ... -279.03 eV for the cell shown
Symmetry ... P1, No. 1

POSCAR file:
```
V3P2O8
1.0
0.0018 4.8076 0.0031
-0.2211 0.0067 10.3503
6.0115 0.0024 -0.0267
V P O
6 4 16
Direct
0.9881 0.2728 0.2467
0.0125 0.7268 0.7527
0.4884 0.2270 0.7547
0.4989 0.4980 0.5015
0.0015 0.0026 0.5026
0.5105 0.7734 0.2424
0.0751 0.5944 0.2492
0.4244 0.0950 0.2485
0.5766 0.9053 0.7489
0.9237 0.4049 0.7528
0.1896 0.6694 0.0533
0.3077 0.1703 0.0539
0.6927 0.8292 0.9429
0.8065 0.3300 0.9478
0.3117 0.9565 0.2559
0.1857 0.4554 0.2565
0.8129 0.5438 0.7444
0.6862 0.0444 0.7452
0.7595 0.6006 0.2710
0.7398 0.1002 0.2676
0.2611 0.8994 0.7302
0.2392 0.3990 0.7342
0.2293 0.6617 0.4559
0.2754 0.1631 0.4570
0.7285 0.8396 0.5394
0.7744 0.3371 0.5445
```

(6)
Density functional theory data (r2SCAN) for crystalline LaMgAu at its relaxed geometry.

Computed properties:
DFT total energy ... -259.93 eV for the cell shown
Symmetry ... P-62m, No. 189

POSCAR file:
```
LaMgAu
1.0
5.2453 5.1424 3.1315
-6.1506 2.7023 -4.3164
-2.2887 0.2524 3.4193
La Mg Au
3 3 3
Direct
0.5826 0.0000 0.0000
0.0000 0.5826 0.0000
0.4174 0.4174 0.0000
0.2358 0.0000 0.5000
0.0000 0.2358 0.5000
0.7642 0.7642 0.5000
0.3333 0.6667 0.5000
0.6667 0.3333 0.5000
0.0000 0.0000 0.0000
```